Record 1
A relaxed structure of NaCdN, computed with PBE-GGA.

a = 3.8531 Å, b = 3.8531 Å, c = 8.6589 Å
α = 90.00°, β = 90.00°, γ = 121.23°
Last column: nearest neighbours and their distance in Å.
Fractional coordinates of all 6 atoms:
Na 0.1739 0.8261 0.5000  4 N 2.60-2.90
Na 0.8261 0.1739 0.0000  4 N 2.60-2.90
Cd 0.4995 0.5005 0.7670  3 N 2.22-2.23
Cd 0.5005 0.4995 0.2670  3 N 2.22-2.23
N 0.1716 0.8284 0.7999  3 Cd 2.22-2.23
N 0.8284 0.1716 0.2999  3 Cd 2.22-2.23

Results
calculated volume: 109.92 Å³ per cell
spin magnetization: 0.002 μB/cell
E_tot: -3.207 eV/atom
space group: Cmc2_1, No. 36
energy of formation: 0.1999 eV/atom



Record 2
A relaxed structure of ZrCd3, computed with PBE-GGA.

a = 4.4321 Å, b = 4.4321 Å, c = 4.4321 Å
α = 90.00°, β = 90.00°, γ = 90.00°
Last column: nearest neighbours and their distance in Å.
Fractional coordinates of all 4 atoms:
Zr 0.0000 0.0000 0.0000  12 Cd 3.13
Cd 0.0000 0.5000 0.5000  8 Cd 3.13, 4 Zr 3.13
Cd 0.5000 0.0000 0.5000  8 Cd 3.13, 4 Zr 3.13
Cd 0.5000 0.5000 0.0000  8 Cd 3.13, 4 Zr 3.13

Results
calculated volume: 87.06 Å³ per cell
E_tot: -2.933 eV/atom
space group: Pm-3m, No. 221
energy of formation: -0.1037 eV/atom



Record 3
A relaxed structure of PdC2N4O4, computed with PBE-GGA.

a = 3.9299 Å, b = 7.8167 Å, c = 8.2354 Å
α = 102.85°, β = 94.04°, γ = 97.73°
Last column: nearest neighbours and their distance in Å.
Fractional coordinates of all 11 atoms:
Pd 0.0000 0.0000 0.0000  4 N 2.01-2.02
C 0.4557 0.4080 0.6770  2 O 1.18
C 0.5443 0.5920 0.3230  2 O 1.18
N 0.0552 0.7606 0.0423  1 Pd 2.01
N 0.0884 0.9107 0.7599  1 Pd 2.02
N 0.9116 0.0893 0.2401  1 Pd 2.02
N 0.9448 0.2394 0.9577  1 Pd 2.01
O 0.4462 0.5529 0.7548  1 C 1.18
O 0.4656 0.2641 0.5977  1 C 1.18
O 0.5344 0.7359 0.4023  1 C 1.18
O 0.5538 0.4471 0.2452  1 C 1.18

Results
calculated volume: 243.07 Å³ per cell
spin magnetization: 10.000 μB/cell
E_tot: -6.010 eV/atom
space group: P-1, No. 2
energy of formation: 0.7200 eV/atom



Record 4
A relaxed structure of P3Pb5O13, computed with PBE-GGA.

a = 9.9154 Å, b = 7.5293 Å, c = 9.9576 Å
α = 90.00°, β = 119.73°, γ = 90.00°
Last column: nearest neighbours and their distance in Å.
Fractional coordinates of all 42 atoms:
P 0.0264 0.0000 0.4019  4 O 1.55-1.57
P 0.3780 0.0006 0.9752  4 O 1.55-1.57
P 0.4040 0.4990 0.3748  4 O 1.55-1.57
P 0.5960 0.9990 0.6252  4 O 1.55-1.57
P 0.6220 0.5006 0.0248  4 O 1.55-1.57
P 0.9736 0.5000 0.5981  4 O 1.55-1.57
Pb 0.0034 0.0312 0.7663  4 O 2.40-2.54
Pb 0.2260 0.0266 0.2306  5 O 2.46-2.72
Pb 0.2394 0.5377 0.0126  3 O 2.24-2.46
Pb 0.3326 0.7495 0.6645  6 O 2.59-2.73
Pb 0.3340 0.2550 0.6644  7 O 2.61-2.86
Pb 0.6660 0.7550 0.3356  7 O 2.61-2.86
Pb 0.6674 0.2495 0.3355  6 O 2.59-2.73
Pb 0.7606 0.0377 0.9874  3 O 2.24-2.46
Pb 0.7740 0.5266 0.7694  5 O 2.46-2.72
Pb 0.9966 0.5312 0.2337  4 O 2.40-2.54
O 0.0169 0.6003 0.0093  3 Pb 2.24-2.47
O 0.0788 0.8304 0.3488  1 P 1.57
O 0.0859 0.1641 0.3500  1 P 1.56
O 0.1110 0.0002 0.5829  1 P 1.57
O 0.1526 0.5040 0.6694  1 P 1.55
O 0.2662 0.1642 0.9160  1 P 1.56
O 0.2720 0.8312 0.9229  1 P 1.57
O 0.3285 0.5050 0.4790  1 P 1.55
O 0.3454 0.3336 0.2649  1 P 1.57
O 0.3581 0.6668 0.2668  1 P 1.57
O 0.4152 0.9943 0.5276  1 P 1.56
O 0.4746 0.0007 0.8889  1 P 1.57
O 0.4860 0.0042 0.1524  1 P 1.55
O 0.5140 0.5042 0.8476  1 P 1.55
O 0.5254 0.5007 0.1111  1 P 1.57
O 0.5848 0.4943 0.4724  1 P 1.56
O 0.6419 0.1668 0.7332  1 P 1.57
O 0.6546 0.8336 0.7351  1 P 1.57
O 0.6715 0.0050 0.5210  1 P 1.55
O 0.7280 0.3312 0.0771  1 P 1.57
O 0.7338 0.6642 0.0840  1 P 1.56
O 0.8474 0.0040 0.3306  1 P 1.55
O 0.8890 0.5002 0.4171  1 P 1.57
O 0.9141 0.6641 0.6500  1 P 1.56
O 0.9212 0.3304 0.6512  1 P 1.57
O 0.9831 0.1003 0.9907  3 Pb 2.24-2.47

Results
calculated volume: 645.54 Å³ per cell
spin magnetization: 2.003 μB/cell
E_tot: -6.514 eV/atom
space group: P2_1, No. 4
energy of formation: -2.2186 eV/atom



Record 5
A relaxed structure of Na4MgTi2Si2O10, computed with PBE-GGA.

a = 5.2105 Å, b = 6.8865 Å, c = 6.6868 Å
α = 90.00°, β = 93.12°, γ = 90.00°
Last column: nearest neighbours and their distance in Å.
Fractional coordinates of all 19 atoms:
Na 0.0000 0.1855 0.0000  4 O 2.18-2.43
Na 0.0000 0.8145 0.0000  4 O 2.18-2.43
Na 0.9516 0.2271 0.5285  4 O 2.28-2.53
Na 0.9516 0.7729 0.5285  4 O 2.28-2.53
Mg 0.8032 0.5000 0.1333  4 O 1.95-2.00
Ti 0.3694 0.5000 0.7890  1 O 1.80
Ti 0.4922 0.0000 0.2791  1 O 1.78
Si 0.3824 0.5000 0.3007  4 O 1.62-1.68
Si 0.4634 0.0000 0.7750  4 O 1.66-1.67
O 0.1511 0.0000 0.2750  1 Ti 1.78
O 0.1758 0.5000 0.0994  1 Si 1.68
O 0.2130 0.5000 0.4962  1 Si 1.62
O 0.2816 0.1978 0.7716  1 Si 1.66
O 0.2816 0.8022 0.7716  1 Si 1.66
O 0.5870 0.3145 0.2805  1 Si 1.67
O 0.5870 0.6855 0.2805  1 Si 1.67
O 0.6403 0.0000 0.9900  1 Si 1.67
O 0.6439 0.0000 0.5787  1 Si 1.66
O 0.7112 0.5000 0.8472  1 Ti 1.80, 1 Mg 1.95

Results
calculated volume: 239.58 Å³ per cell
spin magnetization: 2.013 μB/cell
E_tot: -6.704 eV/atom
space group: Pm, No. 6
energy of formation: -2.6962 eV/atom



Record 6
A relaxed structure of Ce3I, computed with PBE-GGA.

a = 6.7224 Å, b = 6.7224 Å, c = 5.5058 Å
α = 90.00°, β = 90.00°, γ = 120.00°
Last column: nearest neighbours and their distance in Å.
Fractional coordinates of all 8 atoms:
Ce 0.1675 0.3349 0.2500  8 Ce 3.35-3.38, 4 I 3.36
Ce 0.1675 0.8325 0.2500  8 Ce 3.35-3.38, 4 I 3.36
Ce 0.3349 0.1675 0.7500  8 Ce 3.35-3.38, 4 I 3.36
Ce 0.6651 0.8325 0.2500  8 Ce 3.35-3.38, 4 I 3.36
Ce 0.8325 0.1675 0.7500  8 Ce 3.35-3.38, 4 I 3.36
Ce 0.8325 0.6651 0.7500  8 Ce 3.35-3.38, 4 I 3.36
I 0.3333 0.6667 0.7500  12 Ce 3.36
I 0.6667 0.3333 0.2500  12 Ce 3.36

Results
calculated volume: 215.48 Å³ per cell
spin magnetization: 4.983 μB/cell
E_tot: -4.991 eV/atom
space group: P6_3/mmc, No. 194
energy of formation: -0.2547 eV/atom



Record 7
A relaxed structure of Sr2CaUO6, computed with PBE-GGA.

a = 5.9736 Å, b = 6.1371 Å, c = 10.3986 Å
α = 90.00°, β = 124.84°, γ = 90.00°
Last column: nearest neighbours and their distance in Å.
Fractional coordinates of all 20 atoms:
Sr 0.2339 0.0474 0.2471  5 O 2.51-2.79
Sr 0.2339 0.4526 0.7471  5 O 2.51-2.79
Sr 0.7661 0.5474 0.2529  5 O 2.51-2.79
Sr 0.7661 0.9526 0.7529  5 O 2.51-2.79
Ca 0.0000 0.0000 0.5000  6 O 2.35-2.38
Ca 0.0000 0.5000 0.0000  6 O 2.35-2.38
U 0.5000 0.0000 0.0000  6 O 2.09-2.11
U 0.5000 0.5000 0.5000  6 O 2.09-2.11
O 0.1683 0.1885 0.9510  1 U 2.09
O 0.1683 0.3115 0.4510  1 U 2.09
O 0.2518 0.7209 0.9382  1 U 2.11
O 0.2518 0.7791 0.4382  1 U 2.11
O 0.3704 0.0439 0.7665  1 U 2.10
O 0.3704 0.4561 0.2665  1 U 2.10
O 0.6296 0.5439 0.7335  1 U 2.10
O 0.6296 0.9561 0.2335  1 U 2.10
O 0.7482 0.2209 0.5618  1 U 2.11
O 0.7482 0.2791 0.0618  1 U 2.11
O 0.8317 0.6885 0.5490  1 U 2.09
O 0.8317 0.8115 0.0490  1 U 2.09

Results
calculated volume: 312.88 Å³ per cell
spin magnetization: 0.000 μB/cell
E_tot: -7.800 eV/atom
space group: P2_1/c, No. 14
energy of formation: -3.5758 eV/atom



Record 8
A relaxed structure of KH2N, computed with PBE-GGA.

a = 4.6250 Å, b = 3.8241 Å, c = 6.2832 Å
α = 90.00°, β = 95.46°, γ = 90.00°
Last column: nearest neighbours and their distance in Å.
Fractional coordinates of all 8 atoms:
K 0.2238 0.2500 0.3134  6 H 2.80-2.95, 5 N 2.81-3.09
K 0.7762 0.7500 0.6866  6 H 2.80-2.95, 5 N 2.81-3.09
H 0.2969 0.0428 0.8686  1 N 1.03
H 0.2969 0.4572 0.8686  1 N 1.03
H 0.7031 0.5428 0.1314  1 N 1.03
H 0.7031 0.9572 0.1314  1 N 1.03
N 0.2725 0.2500 0.7631  2 H 1.03
N 0.7275 0.7500 0.2369  2 H 1.03

Results
calculated volume: 110.62 Å³ per cell
E_tot: -4.403 eV/atom
space group: P2_1/m, No. 11
energy of formation: -0.4352 eV/atom



Record 9
A relaxed structure of Cs4Ta2S11, computed with PBE-GGA.

a = 14.3158 Å, b = 8.1664 Å, c = 18.9365 Å
α = 90.00°, β = 90.00°, γ = 90.00°
Last column: nearest neighbours and their distance in Å.
Fractional coordinates of all 68 atoms:
Cs 0.0417 0.2050 0.0000  7 S 3.60-4.03
Cs 0.0801 0.1867 0.2990  8 S 3.56-3.93
Cs 0.2116 0.7979 0.1501  9 S 3.56-3.98
Cs 0.2342 0.6668 0.8986  7 S 3.44-3.85
Cs 0.2658 0.6668 0.3986  7 S 3.44-3.85
Cs 0.2884 0.7979 0.6501  9 S 3.56-3.98
Cs 0.4199 0.1867 0.7990  8 S 3.56-3.93
Cs 0.4583 0.2050 0.5000  7 S 3.60-4.03
Cs 0.5417 0.7950 0.0000  7 S 3.60-4.03
Cs 0.5801 0.8133 0.2990  8 S 3.56-3.93
Cs 0.7116 0.2021 0.1501  9 S 3.56-3.98
Cs 0.7342 0.3332 0.8986  7 S 3.44-3.85
Cs 0.7658 0.3332 0.3986  7 S 3.44-3.85
Cs 0.7884 0.2021 0.6501  9 S 3.56-3.98
Cs 0.9199 0.8133 0.7990  8 S 3.56-3.93
Cs 0.9583 0.7950 0.5000  7 S 3.60-4.03
Ta 0.0688 0.2589 0.7416  6 S 2.26-2.51
Ta 0.1221 0.2118 0.5620  6 S 2.26-2.51
Ta 0.3779 0.2118 0.0620  6 S 2.26-2.51
Ta 0.4312 0.2589 0.2416  6 S 2.26-2.51
Ta 0.5688 0.7411 0.7416  6 S 2.26-2.51
Ta 0.6221 0.7882 0.5620  6 S 2.26-2.51
Ta 0.8779 0.7882 0.0620  6 S 2.26-2.51
Ta 0.9312 0.7411 0.2416  6 S 2.26-2.51
S 0.0270 0.4510 0.6444  1 S 2.09
S 0.0311 0.0474 0.6502  2 Ta 2.51
S 0.0323 0.7418 0.0071  1 S 2.09
S 0.0655 0.7489 0.3043  1 Ta 2.26
S 0.0746 0.3993 0.4634  1 S 2.09
S 0.1024 0.5526 0.7282  1 S 2.09
S 0.1630 0.0356 0.7941  1 S 2.08
S 0.1806 0.2616 0.8434  1 S 2.08
S 0.1836 0.0035 0.4987  1 Ta 2.26
S 0.2360 0.2309 0.6618  1 S 2.09
S 0.2449 0.3976 0.0794  1 S 2.09
S 0.2551 0.3976 0.5794  1 S 2.09
S 0.2640 0.2309 0.1618  1 S 2.09
S 0.3164 0.0035 0.9987  1 Ta 2.26
S 0.3194 0.2616 0.3434  1 S 2.08
S 0.3370 0.0356 0.2941  1 S 2.08
S 0.3976 0.5526 0.2282  1 S 2.09
S 0.4254 0.3993 0.9634  1 S 2.09
S 0.4345 0.7489 0.8043  1 Ta 2.26
S 0.4677 0.7418 0.5071  1 S 2.09
S 0.4689 0.0474 0.1502  2 Ta 2.51
S 0.4730 0.4510 0.1444  1 S 2.09
S 0.5270 0.5490 0.6444  1 S 2.09
S 0.5311 0.9526 0.6502  2 Ta 2.51
S 0.5323 0.2582 0.0071  1 S 2.09
S 0.5655 0.2511 0.3043  1 Ta 2.26
S 0.5746 0.6007 0.4634  1 S 2.09
S 0.6024 0.4474 0.7282  1 S 2.09
S 0.6630 0.9644 0.7941  1 S 2.08
S 0.6806 0.7384 0.8434  1 S 2.08
S 0.6836 0.9965 0.4987  1 Ta 2.26
S 0.7360 0.7691 0.6618  1 S 2.09
S 0.7449 0.6024 0.0794  1 S 2.09
S 0.7551 0.6024 0.5794  1 S 2.09
S 0.7640 0.7691 0.1618  1 S 2.09
S 0.8164 0.9965 0.9987  1 Ta 2.26
S 0.8194 0.7384 0.3434  1 S 2.08
S 0.8370 0.9644 0.2941  1 S 2.08
S 0.8976 0.4474 0.2282  1 S 2.09
S 0.9254 0.6007 0.9634  1 S 2.09
S 0.9345 0.2511 0.8043  1 Ta 2.26
S 0.9677 0.2582 0.5071  1 S 2.09
S 0.9689 0.9526 0.1502  2 Ta 2.51
S 0.9730 0.5490 0.1444  1 S 2.09

Results
calculated volume: 2213.83 Å³ per cell
spin magnetization: 0.019 μB/cell
E_tot: -5.238 eV/atom
space group: Pca2_1, No. 29
energy of formation: -1.2812 eV/atom



Record 10
A relaxed structure of Y2TlZn, computed with PBE-GGA.

a = 5.2301 Å, b = 5.2301 Å, c = 5.2301 Å
α = 60.00°, β = 60.00°, γ = 60.00°
Last column: nearest neighbours and their distance in Å.
Fractional coordinates of all 4 atoms:
Y 0.2500 0.2500 0.2500  4 Zn 3.20, 4 Tl 3.20
Y 0.7500 0.7500 0.7500  4 Zn 3.20, 4 Tl 3.20
Tl 0.0000 0.0000 0.0000  8 Y 3.20
Zn 0.5000 0.5000 0.5000  8 Y 3.20

Results
calculated volume: 101.16 Å³ per cell
E_tot: -4.505 eV/atom
space group: Fm-3m, No. 225
energy of formation: -0.3666 eV/atom



Record 11
A relaxed structure of Pb4SBr6, computed with PBE-GGA.

a = 4.3203 Å, b = 9.8553 Å, c = 9.9063 Å
α = 62.19°, β = 77.49°, γ = 77.38°
Last column: nearest neighbours and their distance in Å.
Fractional coordinates of all 11 atoms:
Pb 0.0000 0.0000 0.0000  2 S 2.73
Pb 0.2453 0.4748 0.0197  6 Br 3.01-3.36
Pb 0.4999 0.4266 0.5735  1 S 2.69
Pb 0.7473 0.9774 0.5250  5 Br 3.02-3.22
S 0.4977 0.1649 0.8390  3 Pb 2.69-2.73
Br 0.1344 0.2721 0.4578  4 Pb 3.10-3.39
Br 0.1880 0.8380 0.7849  4 Pb 3.10-3.22
Br 0.3762 0.8585 0.3856  2 Pb 3.02-3.03
Br 0.6219 0.6145 0.1392  2 Pb 3.01-3.05
Br 0.8073 0.2143 0.1637  4 Pb 3.10-3.22
Br 0.8650 0.5451 0.7264  4 Pb 3.10-3.41

Results
calculated volume: 360.82 Å³ per cell
spin magnetization: 0.004 μB/cell
E_tot: -3.440 eV/atom
space group: P1, No. 1
energy of formation: -1.1579 eV/atom



Record 12
A relaxed structure of Pm3Pd, computed with PBE-GGA.

a = 6.2683 Å, b = 6.2683 Å, c = 6.2683 Å
α = 137.64°, β = 137.64°, γ = 61.46°
Last column: nearest neighbours and their distance in Å.
Fractional coordinates of all 4 atoms:
Pm 0.0000 0.0000 0.0000  4 Pd 3.20, 8 Pm 3.52
Pm 0.2500 0.7500 0.5000  8 Pm 3.20-3.52, 4 Pd 3.52
Pm 0.7500 0.2500 0.5000  8 Pm 3.20-3.52, 4 Pd 3.52
Pd 0.5000 0.5000 0.0000  12 Pm 3.20-3.52

Results
calculated volume: 110.55 Å³ per cell
spin magnetization: 0.113 μB/cell
E_tot: -5.001 eV/atom
space group: I4/mmm, No. 139
energy of formation: -0.1427 eV/atom